1.
The following is a DFT calculation (PBE) of a relaxed structure of LaSiBO5.

The energy above the most stable polymorph in this dataset is 2 meV/atom. As for the crystal system: trigonal.

It has space group P3_121 (No. 152), with a = 6.8831 Å, b = 6.8831 Å, c = 6.8499 Å, α = 90.00°, β = 90.00° and γ = 120.00°. Symmetry generates all atoms from La at (0.0000, 0.6011, 0.1667), Si at (0.0000, 0.5826, 0.6667), B at (0.0000, 0.1082, 0.1667), O at (0.0000, 0.0388, 0.6667), O at (0.1377, 0.5317, 0.5024) and O at (0.1526, 0.8087, 0.8055).

2.
The following is a DFT calculation (PBE) of a relaxed structure of Cs2PH4Se3O2.

As for the crystal system: orthorhombic.

It has space group Pnnm (No. 58), with a = 10.213 Å, b = 13.017 Å, c = 8.034 Å, α = 90.00°, β = 90.00° and γ = 90.00°. Symmetry generates all atoms from Cs at (0.000, 0.000, 0.000), Cs at (0.000, 0.000, 0.500), Cs at (0.105, 0.340, 0.000), P at (0.114, 0.491, 0.500), H at (0.051, 0.761, 0.319), H at (0.158, 0.807, 0.200), Se at (0.149, 0.321, 0.500), Se at (0.187, 0.567, 0.274) and O at (0.076, 0.824, 0.258).

3.
The following is a DFT calculation (PBE) of a relaxed structure of Zn3As2O6.

The energy above the most stable polymorph in this dataset is 11 meV/atom. As for the crystal system: monoclinic.

It has space group P2_1/c (No. 14), with a = 8.391 Å, b = 5.288 Å, c = 16.110 Å, α = 90.00°, β = 97.34° and γ = 90.00°. Symmetry generates all atoms from Zn at (0.010, 0.050, 0.311), Zn at (0.110, 0.126, 0.067), Zn at (0.370, 0.146, 0.240), As at (0.241, 0.541, 0.369), As at (0.334, 0.632, 0.106), O at (0.086, 0.694, 0.298), O at (0.114, 0.007, 0.950), O at (0.138, 0.018, 0.604), O at (0.221, 0.228, 0.323), O at (0.278, 0.559, 0.643) and O at (0.428, 0.000, 0.704).

4.
The following is a DFT calculation (PBE) of a relaxed structure of Ba2HoMgSbO6.

The energy above the most stable polymorph in this dataset is 242 meV/atom. As for the crystal system: orthorhombic.

It has space group Immm (No. 71), with a = 6.136 Å, b = 6.260 Å, c = 9.910 Å, α = 90.00°, β = 90.00° and γ = 90.00°. Symmetry generates all atoms from Ba at (0.000, 0.000, 0.193), Ho at (0.000, 0.500, 0.000), Mg at (0.000, 0.000, 0.500), Sb at (0.000, 0.500, 0.500), O at (0.000, 0.500, 0.241) and O at (0.235, 0.232, 0.500).

| no. | VASP energy (eV for the cell shown) | magnetization (μB/atom) |
| --- | --- | --- |
| 1 | -197.550 | 0.000 |
| 2 | -208.613 | 0.000 |
| 3 | -231.874 | 0.000 |
| 4 | -135.904 | 0.000 |